{
  "formula": "KVCu2Se4",
  "functional": "PBE-GGA",
  "state": "optimized geometry",
  "lattice": [[7.709, 0.000, 0.000], [0.000, 9.393, 2.805], [0.000, -9.393, 2.805]],
  "species": ["K", "K", "V", "V", "Cu", "Cu", "Cu", "Cu", "Se", "Se", "Se", "Se", "Se", "Se", "Se", "Se"],
  "fractional_positions": [[0.250, 0.185, 0.815], [0.750, 0.815, 0.185], [0.250, 0.657, 0.873], [0.750, 0.873, 0.657], [0.000, 0.749, 0.749], [0.250, 0.157, 0.374], [0.500, 0.749, 0.749], [0.750, 0.374, 0.157], [0.001, 0.417, 0.637], [0.250, 0.005, 0.014], [0.250, 0.789, 0.207], [0.499, 0.417, 0.637], [0.501, 0.637, 0.417], [0.750, 0.014, 0.005], [0.750, 0.207, 0.789], [0.999, 0.637, 0.417]],
  "piezo_max_c_m2": 1.2,
  "crystal_system": "orthorhombic",
  "rho_g_cm3": 4.4,
  "dft_energy_ev_per_atom": -4.7428
}



{
  "formula": "K2Y4Cu4Se9",
  "functional": "PBE-GGA",
  "state": "optimized geometry",
  "lattice": [[7.179, -2.062, 0.000], [7.179, 2.062, 0.000], [-5.498, 0.000, 15.617]],
  "species": ["K", "K", "Y", "Y", "Y", "Y", "Cu", "Cu", "Cu", "Cu", "Se", "Se", "Se", "Se", "Se", "Se", "Se", "Se", "Se"],
  "fractional_positions": [[0.033, 0.033, 0.269], [0.967, 0.967, 0.731], [0.232, 0.232, 0.103], [0.345, 0.345, 0.444], [0.655, 0.655, 0.556], [0.768, 0.768, 0.897], [0.240, 0.240, 0.729], [0.425, 0.425, 0.029], [0.575, 0.575, 0.971], [0.760, 0.760, 0.271], [0.000, 0.000, 0.500], [0.135, 0.135, 0.922], [0.302, 0.302, 0.605], [0.356, 0.356, 0.277], [0.393, 0.393, 0.870], [0.607, 0.607, 0.130], [0.644, 0.644, 0.723], [0.698, 0.698, 0.395], [0.865, 0.865, 0.078]],
  "crystal_system": "monoclinic",
  "rho_g_cm3": 5.0,
  "dft_energy_ev_per_atom": -5.2841
}



{
  "formula": "KZrCuSe3",
  "functional": "PBE-GGA",
  "state": "optimized geometry",
  "lattice": [[1.954, -7.477, 0.000], [1.954, 7.477, 0.000], [0.000, 0.000, 10.242]],
  "species": ["K", "K", "Zr", "Zr", "Cu", "Cu", "Se", "Se", "Se", "Se", "Se", "Se"],
  "fractional_positions": [[0.249, 0.751, 0.750], [0.751, 0.249, 0.250], [0.500, 0.500, 0.000], [0.500, 0.500, 0.500], [0.031, 0.969, 0.250], [0.969, 0.031, 0.750], [0.122, 0.878, 0.054], [0.122, 0.878, 0.446], [0.432, 0.568, 0.250], [0.568, 0.432, 0.750], [0.878, 0.122, 0.554], [0.878, 0.122, 0.946]],
  "crystal_system": "orthorhombic",
  "rho_g_cm3": 4.8,
  "dft_energy_ev_per_atom": -5.1515
}



{
  "formula": "K4Cu4Sn7",
  "functional": "PBE-GGA",
  "state": "optimized geometry",
  "lattice": [[17.794, 0.000, 0.000], [0.000, 17.794, 0.000], [0.000, 0.000, 17.795]],
  "species": ["K", "K", "K", "K", "K", "K", "K", "K", "K", "K", "K", "K", "K", "K", "K", "K", "K", "K", "K", "K", "K", "K", "K", "K", "K", "K", "K", "K", "K", "K", "K", "K", "K", "K", "K", "K", "K", "K", "K", "K", "K", "K", "K", "K", "K", "K", "K", "K", "Cu", "Cu", "Cu", "Cu", "Cu", "Cu", "Cu", "Cu", "Cu", "Cu", "Cu", "Cu", "Cu", "Cu", "Cu", "Cu", "Cu", "Cu", "Cu", "Cu", "Cu", "Cu", "Cu", "Cu", "Cu", "Cu", "Cu", "Cu", "Cu", "Cu", "Cu", "Cu", "Cu", "Cu", "Cu", "Cu", "Cu", "Cu", "Cu", "Cu", "Cu", "Cu", "Cu", "Cu", "Cu", "Cu", "Cu", "Cu", "Sn", "Sn", "Sn", "Sn", "Sn", "Sn", "Sn", "Sn", "Sn", "Sn", "Sn", "Sn", "Sn", "Sn", "Sn", "Sn", "Sn", "Sn", "Sn", "Sn", "Sn", "Sn", "Sn", "Sn", "Sn", "Sn", "Sn", "Sn", "Sn", "Sn", "Sn", "Sn", "Sn", "Sn", "Sn", "Sn", "Sn", "Sn", "Sn", "Sn", "Sn", "Sn", "Sn", "Sn", "Sn", "Sn", "Sn", "Sn", "Sn", "Sn", "Sn", "Sn", "Sn", "Sn", "Sn", "Sn", "Sn", "Sn", "Sn", "Sn", "Sn", "Sn", "Sn", "Sn", "Sn", "Sn", "Sn", "Sn", "Sn", "Sn", "Sn", "Sn", "Sn", "Sn", "Sn", "Sn", "Sn", "Sn", "Sn", "Sn", "Sn", "Sn", "Sn", "Sn"],
  "fractional_positions": [[0.000, 0.000, 0.000], [0.000, 0.000, 0.227], [0.000, 0.000, 0.773], [0.000, 0.272, 0.500], [0.000, 0.500, 0.500], [0.000, 0.728, 0.500], [0.067, 0.357, 0.143], [0.067, 0.643, 0.857], [0.095, 0.095, 0.405], [0.095, 0.905, 0.595], [0.145, 0.145, 0.068], [0.145, 0.432, 0.355], [0.145, 0.568, 0.645], [0.145, 0.855, 0.932], [0.225, 0.500, 0.000], [0.272, 0.000, 0.500], [0.355, 0.355, 0.432], [0.355, 0.645, 0.568], [0.357, 0.067, 0.143], [0.357, 0.933, 0.857], [0.405, 0.405, 0.095], [0.405, 0.595, 0.905], [0.432, 0.145, 0.355], [0.432, 0.855, 0.645], [0.500, 0.000, 0.500], [0.500, 0.225, 0.000], [0.500, 0.500, 0.272], [0.500, 0.500, 0.500], [0.500, 0.500, 0.728], [0.500, 0.775, 0.000], [0.568, 0.145, 0.645], [0.568, 0.855, 0.355], [0.595, 0.405, 0.905], [0.595, 0.595, 0.095], [0.643, 0.067, 0.857], [0.643, 0.933, 0.143], [0.645, 0.355, 0.568], [0.645, 0.645, 0.432], [0.728, 0.000, 0.500], [0.775, 0.500, 0.000], [0.855, 0.145, 0.932], [0.855, 0.432, 0.645], [0.855, 0.568, 0.355], [0.855, 0.855, 0.068], [0.905, 0.095, 0.595], [0.905, 0.905, 0.405], [0.933, 0.357, 0.857], [0.933, 0.643, 0.143], [0.115, 0.294, 0.794], [0.115, 0.706, 0.206], [0.145, 0.145, 0.756], [0.145, 0.256, 0.645], [0.145, 0.744, 0.355], [0.145, 0.855, 0.244], [0.206, 0.206, 0.886], [0.206, 0.386, 0.706], [0.206, 0.614, 0.294], [0.206, 0.794, 0.114], [0.244, 0.355, 0.855], [0.244, 0.645, 0.145], [0.256, 0.145, 0.645], [0.256, 0.855, 0.355], [0.294, 0.115, 0.794], [0.294, 0.294, 0.615], [0.294, 0.706, 0.385], [0.294, 0.885, 0.206], [0.355, 0.244, 0.855], [0.355, 0.355, 0.743], [0.355, 0.645, 0.257], [0.355, 0.756, 0.145], [0.386, 0.206, 0.706], [0.386, 0.794, 0.294], [0.614, 0.206, 0.294], [0.614, 0.794, 0.706], [0.645, 0.244, 0.145], [0.645, 0.355, 0.257], [0.645, 0.645, 0.743], [0.645, 0.756, 0.855], [0.706, 0.115, 0.206], [0.706, 0.294, 0.385], [0.706, 0.706, 0.615], [0.706, 0.885, 0.794], [0.744, 0.145, 0.355], [0.744, 0.855, 0.645], [0.756, 0.355, 0.145], [0.756, 0.645, 0.855], [0.794, 0.206, 0.114], [0.794, 0.386, 0.294], [0.794, 0.614, 0.706], [0.794, 0.794, 0.886], [0.855, 0.145, 0.244], [0.855, 0.256, 0.355], [0.855, 0.744, 0.645], [0.855, 0.855, 0.756], [0.885, 0.294, 0.206], [0.885, 0.706, 0.794], [0.009, 0.213, 0.713], [0.009, 0.787, 0.287], [0.052, 0.177, 0.879], [0.052, 0.379, 0.677], [0.052, 0.621, 0.323], [0.052, 0.823, 0.121], [0.110, 0.110, 0.609], [0.110, 0.890, 0.391], [0.121, 0.323, 0.948], [0.121, 0.448, 0.823], [0.121, 0.552, 0.177], [0.121, 0.677, 0.052], [0.177, 0.052, 0.879], [0.177, 0.379, 0.552], [0.177, 0.621, 0.448], [0.177, 0.948, 0.121], [0.213, 0.009, 0.713], [0.213, 0.213, 0.509], [0.213, 0.787, 0.491], [0.213, 0.991, 0.287], [0.250, 0.250, 0.750], [0.250, 0.750, 0.250], [0.287, 0.287, 0.990], [0.287, 0.491, 0.786], [0.287, 0.509, 0.214], [0.287, 0.713, 0.010], [0.323, 0.121, 0.948], [0.323, 0.448, 0.621], [0.323, 0.552, 0.379], [0.323, 0.879, 0.052], [0.379, 0.052, 0.677], [0.379, 0.177, 0.552], [0.379, 0.823, 0.448], [0.379, 0.948, 0.323], [0.390, 0.390, 0.890], [0.390, 0.610, 0.110], [0.448, 0.121, 0.823], [0.448, 0.323, 0.621], [0.448, 0.677, 0.379], [0.448, 0.879, 0.177], [0.491, 0.287, 0.786], [0.491, 0.713, 0.214], [0.509, 0.287, 0.214], [0.509, 0.713, 0.786], [0.552, 0.121, 0.177], [0.552, 0.323, 0.379], [0.552, 0.677, 0.621], [0.552, 0.879, 0.823], [0.610, 0.390, 0.110], [0.610, 0.610, 0.890], [0.621, 0.052, 0.323], [0.621, 0.177, 0.448], [0.621, 0.823, 0.552], [0.621, 0.948, 0.677], [0.677, 0.121, 0.052], [0.677, 0.448, 0.379], [0.677, 0.552, 0.621], [0.677, 0.879, 0.948], [0.713, 0.287, 0.010], [0.713, 0.491, 0.214], [0.713, 0.509, 0.786], [0.713, 0.713, 0.990], [0.750, 0.250, 0.250], [0.750, 0.750, 0.750], [0.787, 0.009, 0.287], [0.787, 0.213, 0.491], [0.787, 0.787, 0.509], [0.787, 0.991, 0.713], [0.823, 0.052, 0.121], [0.823, 0.379, 0.448], [0.823, 0.621, 0.552], [0.823, 0.948, 0.879], [0.879, 0.323, 0.052], [0.879, 0.448, 0.177], [0.879, 0.552, 0.823], [0.879, 0.677, 0.948], [0.890, 0.110, 0.391], [0.890, 0.890, 0.609], [0.948, 0.177, 0.121], [0.948, 0.379, 0.323], [0.948, 0.621, 0.677], [0.948, 0.823, 0.879], [0.991, 0.213, 0.287], [0.991, 0.787, 0.713]],
  "crystal_system": "tetragonal",
  "rho_g_cm3": 4.4,
  "dft_energy_ev_per_atom": -3.4635
}



{
  "formula": "K2Cu5Te5",
  "functional": "PBE-GGA",
  "state": "optimized geometry",
  "lattice": [[2.067, -8.037, 0.000], [2.067, 8.037, 0.000], [0.000, 0.000, 18.842]],
  "species": ["K", "K", "K", "K", "Cu", "Cu", "Cu", "Cu", "Cu", "Cu", "Cu", "Cu", "Cu", "Cu", "Te", "Te", "Te", "Te", "Te", "Te", "Te", "Te", "Te", "Te"],
  "fractional_positions": [[0.017, 0.983, 0.618], [0.017, 0.983, 0.882], [0.983, 0.017, 0.118], [0.983, 0.017, 0.382], [0.174, 0.826, 0.250], [0.224, 0.776, 0.043], [0.224, 0.776, 0.457], [0.301, 0.699, 0.647], [0.301, 0.699, 0.853], [0.699, 0.301, 0.147], [0.699, 0.301, 0.353], [0.776, 0.224, 0.543], [0.776, 0.224, 0.957], [0.826, 0.174, 0.750], [0.303, 0.697, 0.167], [0.303, 0.697, 0.333], [0.372, 0.628, 0.520], [0.372, 0.628, 0.980], [0.421, 0.579, 0.750], [0.579, 0.421, 0.250], [0.628, 0.372, 0.020], [0.628, 0.372, 0.480], [0.697, 0.303, 0.667], [0.697, 0.303, 0.833]],
  "crystal_system": "orthorhombic",
  "rho_g_cm3": 5.5,
  "dft_energy_ev_per_atom": -3.5735
}



{
  "formula": "KCuTe",
  "functional": "PBE-GGA",
  "state": "optimized geometry",
  "lattice": [[4.473, 0.000, 0.000], [-2.236, 3.873, 0.000], [0.000, 0.000, 10.158]],
  "species": ["K", "K", "Cu", "Cu", "Te", "Te"],
  "fractional_positions": [[0.000, 0.000, 0.000], [0.000, 0.000, 0.500], [0.333, 0.667, 0.250], [0.667, 0.333, 0.750], [0.333, 0.667, 0.750], [0.667, 0.333, 0.250]],
  "crystal_system": "hexagonal",
  "rho_g_cm3": 4.3,
  "dft_energy_ev_per_atom": -3.3740
}



{
  "formula": "K3Cu11Te16",
  "functional": "PBE-GGA",
  "state": "optimized geometry",
  "lattice": [[-9.860, 11.936, 3.490], [9.860, -11.936, 3.490], [9.860, 11.936, -3.490]],
  "species": ["K", "K", "K", "K", "K", "K", "Cu", "Cu", "Cu", "Cu", "Cu", "Cu", "Cu", "Cu", "Cu", "Cu", "Cu", "Cu", "Cu", "Cu", "Cu", "Cu", "Cu", "Cu", "Cu", "Cu", "Cu", "Cu", "Te", "Te", "Te", "Te", "Te", "Te", "Te", "Te", "Te", "Te", "Te", "Te", "Te", "Te", "Te", "Te", "Te", "Te", "Te", "Te", "Te", "Te", "Te", "Te", "Te", "Te", "Te", "Te", "Te", "Te", "Te", "Te"],
  "fractional_positions": [[0.000, 0.000, 0.000], [0.323, 0.225, 0.402], [0.323, 0.921, 0.098], [0.500, 0.000, 0.500], [0.677, 0.079, 0.902], [0.677, 0.775, 0.598], [0.114, 0.590, 0.298], [0.114, 0.816, 0.524], [0.144, 0.000, 0.644], [0.144, 0.500, 0.144], [0.208, 0.184, 0.798], [0.208, 0.410, 0.024], [0.281, 0.583, 0.487], [0.281, 0.794, 0.698], [0.399, 0.649, 0.750], [0.404, 0.206, 0.987], [0.404, 0.417, 0.198], [0.596, 0.583, 0.802], [0.596, 0.794, 0.013], [0.601, 0.351, 0.250], [0.719, 0.206, 0.302], [0.719, 0.417, 0.513], [0.792, 0.590, 0.976], [0.792, 0.816, 0.202], [0.856, 0.000, 0.356], [0.856, 0.500, 0.856], [0.886, 0.184, 0.476], [0.886, 0.410, 0.702], [0.000, 0.426, 0.426], [0.000, 0.574, 0.574], [0.066, 0.208, 0.858], [0.074, 0.190, 0.236], [0.074, 0.838, 0.884], [0.147, 0.299, 0.652], [0.147, 0.494, 0.848], [0.150, 0.792, 0.358], [0.179, 0.330, 0.474], [0.179, 0.705, 0.848], [0.354, 0.204, 0.150], [0.357, 0.330, 0.652], [0.357, 0.705, 0.026], [0.446, 0.796, 0.650], [0.455, 0.190, 0.616], [0.455, 0.838, 0.264], [0.500, 0.426, 0.926], [0.500, 0.574, 0.074], [0.545, 0.162, 0.736], [0.545, 0.810, 0.384], [0.554, 0.204, 0.350], [0.643, 0.295, 0.974], [0.643, 0.670, 0.348], [0.646, 0.796, 0.850], [0.821, 0.295, 0.152], [0.821, 0.670, 0.526], [0.850, 0.208, 0.642], [0.853, 0.506, 0.152], [0.853, 0.701, 0.348], [0.926, 0.162, 0.116], [0.926, 0.810, 0.764], [0.934, 0.792, 0.142]],
  "crystal_system": "orthorhombic",
  "rho_g_cm3": 5.8,
  "dft_energy_ev_per_atom": -3.5162
}



{
  "formula": "K4Cu8Te11",
  "functional": "PBE-GGA",
  "state": "optimized geometry",
  "lattice": [[12.187, -3.422, 0.000], [12.187, 3.422, 0.000], [-10.514, 0.000, 15.354]],
  "species": ["K", "K", "K", "K", "K", "K", "K", "K", "Cu", "Cu", "Cu", "Cu", "Cu", "Cu", "Cu", "Cu", "Cu", "Cu", "Cu", "Cu", "Cu", "Cu", "Cu", "Cu", "Te", "Te", "Te", "Te", "Te", "Te", "Te", "Te", "Te", "Te", "Te", "Te", "Te", "Te", "Te", "Te", "Te", "Te", "Te", "Te", "Te", "Te"],
  "fractional_positions": [[0.064, 0.064, 0.223], [0.126, 0.126, 0.668], [0.250, 0.250, 0.088], [0.354, 0.354, 0.473], [0.646, 0.646, 0.527], [0.750, 0.750, 0.912], [0.874, 0.874, 0.332], [0.936, 0.936, 0.777], [0.106, 0.486, 0.612], [0.180, 0.564, 0.882], [0.229, 0.614, 0.058], [0.289, 0.696, 0.664], [0.304, 0.711, 0.336], [0.386, 0.771, 0.942], [0.436, 0.820, 0.118], [0.486, 0.106, 0.612], [0.514, 0.894, 0.388], [0.564, 0.180, 0.882], [0.614, 0.229, 0.058], [0.696, 0.289, 0.664], [0.711, 0.304, 0.336], [0.771, 0.386, 0.942], [0.820, 0.436, 0.118], [0.894, 0.514, 0.388], [0.017, 0.437, 0.274], [0.067, 0.067, 0.019], [0.068, 0.068, 0.438], [0.115, 0.697, 0.181], [0.199, 0.199, 0.468], [0.303, 0.885, 0.819], [0.313, 0.313, 0.943], [0.410, 0.410, 0.689], [0.437, 0.017, 0.274], [0.457, 0.457, 0.405], [0.464, 0.464, 0.875], [0.536, 0.536, 0.125], [0.543, 0.543, 0.595], [0.563, 0.983, 0.726], [0.590, 0.590, 0.311], [0.687, 0.687, 0.057], [0.697, 0.115, 0.181], [0.801, 0.801, 0.532], [0.885, 0.303, 0.819], [0.932, 0.932, 0.562], [0.933, 0.933, 0.981], [0.983, 0.563, 0.726]],
  "crystal_system": "monoclinic",
  "rho_g_cm3": 5.4,
  "dft_energy_ev_per_atom": -3.4775
}



{
  "formula": "KCu3Te2",
  "functional": "PBE-GGA",
  "state": "optimized geometry",
  "lattice": [[8.194, -2.130, 0.000], [8.194, 2.130, 0.000], [-3.194, 0.000, 8.074]],
  "species": ["K", "K", "Cu", "Cu", "Cu", "Cu", "Cu", "Cu", "Te", "Te", "Te", "Te"],
  "fractional_positions": [[0.134, 0.134, 0.046], [0.866, 0.866, 0.954], [0.070, 0.070, 0.416], [0.304, 0.304, 0.529], [0.416, 0.416, 0.399], [0.584, 0.584, 0.601], [0.696, 0.696, 0.471], [0.930, 0.930, 0.584], [0.202, 0.202, 0.695], [0.479, 0.479, 0.761], [0.521, 0.521, 0.239], [0.798, 0.798, 0.305]],
  "crystal_system": "monoclinic",
  "rho_g_cm3": 5.7,
  "dft_energy_ev_per_atom": -3.5966
}